# 1
Density functional theory data (GGA-PBE) for a geometry-optimized Kr structure.

Lattice parameters (Å, degrees): 4.420 4.420 7.360 90.00 90.00 120.00
Fractional positions:
Kr (0.333, 0.667, 0.250)
Kr (0.667, 0.333, 0.750)

## Properties
Calculated total energy in eV per cell: -0.110
Crystal system: hexagonal
E above lowest polymorph in eV per atom: 0.002
ΔE_f in eV per atom: 0.00


# 2
Density functional theory data (GGA-PBE) for a geometry-optimized Li5TlIn structure.

Lattice parameters (Å, degrees): 7.381 7.381 7.381 37.12 37.12 37.12
Fractional positions:
Li (0.651, 0.651, 0.651)
Li (0.347, 0.347, 0.347)
Li (0.502, 0.502, 0.502)
Li (0.791, 0.791, 0.791)
Li (0.209, 0.209, 0.209)
Tl (0.072, 0.072, 0.072)
In (0.928, 0.928, 0.928)

## Properties
Calculated total energy in eV per cell: -16.406
Crystal system: trigonal
ΔE_f in eV per atom: -0.25


# 3
Density functional theory data (GGA-PBE) for a geometry-optimized BaLiNbBiO6 structure.

Lattice parameters (Å, degrees): 5.991 5.991 5.991 60.00 60.00 60.00
Fractional positions:
Ba (0.250, 0.250, 0.250)
Li (0.750, 0.750, 0.750)
Nb (0.500, 0.500, 0.500)
Bi (0.000, 0.000, 0.000)
O (0.737, 0.263, 0.263)
O (0.263, 0.737, 0.737)
O (0.737, 0.263, 0.737)
O (0.263, 0.737, 0.263)
O (0.737, 0.737, 0.263)
O (0.263, 0.263, 0.737)

## Properties
Calculated total energy in eV per cell: -67.414
Crystal system: cubic
ΔE_f in eV per atom: -2.40


# 4
Density functional theory data (GGA-PBE) for a geometry-optimized LiNbO3 structure.

Lattice parameters (Å, degrees): 5.505 5.505 5.147 83.67 83.67 124.43
Fractional positions:
Li (0.653, 0.347, 0.500)
Li (0.347, 0.653, 0.500)
Nb (0.839, 0.161, 0.000)
Nb (0.161, 0.839, 0.000)
O (0.799, 0.799, 0.210)
O (0.201, 0.201, 0.790)
O (0.442, 0.037, 0.237)
O (0.963, 0.558, 0.763)
O (0.558, 0.963, 0.763)
O (0.037, 0.442, 0.237)

## Properties
Calculated total energy in eV per cell: -78.030
Crystal system: monoclinic
ΔE_f in eV per atom: -2.84


# 5
Density functional theory data (GGA-PBE) for a geometry-optimized Tm3Ga5O12 structure.

Lattice parameters (Å, degrees): 10.663 10.663 10.663 109.47 109.47 109.47
Fractional positions:
Tm (0.250, 0.375, 0.125)
Tm (0.750, 0.625, 0.875)
Tm (0.750, 0.125, 0.375)
Tm (0.125, 0.250, 0.375)
Tm (0.375, 0.750, 0.125)
Tm (0.250, 0.875, 0.625)
Tm (0.875, 0.750, 0.625)
Tm (0.625, 0.250, 0.875)
Tm (0.375, 0.125, 0.250)
Tm (0.625, 0.875, 0.750)
Tm (0.125, 0.375, 0.750)
Tm (0.875, 0.625, 0.250)
Ga (0.250, 0.625, 0.375)
Ga (0.750, 0.375, 0.625)
Ga (0.750, 0.875, 0.125)
Ga (0.375, 0.250, 0.625)
Ga (0.625, 0.750, 0.375)
Ga (0.250, 0.125, 0.875)
Ga (0.125, 0.750, 0.875)
Ga (0.875, 0.250, 0.125)
Ga (0.625, 0.375, 0.250)
Ga (0.375, 0.625, 0.750)
Ga (0.875, 0.125, 0.750)
Ga (0.125, 0.875, 0.250)
Ga (0.000, 0.000, 0.000)
Ga (0.500, 0.000, 0.500)
Ga (0.000, 0.500, 0.500)
Ga (0.500, 0.000, 0.000)
Ga (0.500, 0.500, 0.000)
Ga (0.500, 0.500, 0.500)
Ga (0.000, 0.000, 0.500)
Ga (0.000, 0.500, 0.000)
O (0.469, 0.375, 0.293)
O (0.531, 0.625, 0.707)
O (0.582, 0.177, 0.207)
O (0.918, 0.125, 0.595)
O (0.293, 0.469, 0.375)
O (0.323, 0.918, 0.293)
O (0.418, 0.823, 0.793)
O (0.082, 0.875, 0.405)
O (0.707, 0.531, 0.625)
O (0.677, 0.082, 0.707)
O (0.031, 0.323, 0.905)
O (0.207, 0.582, 0.177)
O (0.125, 0.031, 0.207)
O (0.969, 0.677, 0.095)
O (0.793, 0.418, 0.823)
O (0.875, 0.969, 0.793)
O (0.595, 0.918, 0.125)
O (0.177, 0.469, 0.595)
O (0.405, 0.082, 0.875)
O (0.823, 0.531, 0.405)
O (0.905, 0.031, 0.323)
O (0.375, 0.582, 0.905)
O (0.095, 0.969, 0.677)
O (0.625, 0.418, 0.095)
O (0.375, 0.293, 0.469)
O (0.582, 0.905, 0.375)
O (0.625, 0.707, 0.531)
O (0.418, 0.095, 0.625)
O (0.125, 0.595, 0.918)
O (0.031, 0.207, 0.125)
O (0.875, 0.405, 0.082)
O (0.969, 0.793, 0.875)
O (0.323, 0.905, 0.031)
O (0.918, 0.293, 0.323)
O (0.677, 0.095, 0.969)
O (0.082, 0.707, 0.677)
O (0.177, 0.207, 0.582)
O (0.469, 0.595, 0.177)
O (0.823, 0.793, 0.418)
O (0.531, 0.405, 0.823)
O (0.293, 0.323, 0.918)
O (0.707, 0.677, 0.082)
O (0.207, 0.125, 0.031)
O (0.793, 0.875, 0.969)
O (0.905, 0.375, 0.582)
O (0.095, 0.625, 0.418)
O (0.595, 0.177, 0.469)
O (0.405, 0.823, 0.531)

## Properties
Calculated total energy in eV per cell: -558.057
Crystal system: cubic
ΔE_f in eV per atom: -2.99


# 6
Density functional theory data (GGA-PBE) for a geometry-optimized Ta structure.

Lattice parameters (Å, degrees): 2.900 2.900 5.166 90.00 90.00 120.00
Fractional positions:
Ta (0.000, 0.000, 0.000)
Ta (0.667, 0.333, 0.500)

## Properties
Calculated total energy in eV per cell: -23.145
Crystal system: hexagonal
E above lowest polymorph in eV per atom: 0.285
ΔE_f in eV per atom: 0.29


# 7
Density functional theory data (GGA-PBE) for a geometry-optimized MgCu6PbO8 structure.

Lattice parameters (Å, degrees): 6.916 6.916 6.916 60.00 60.00 60.00
Fractional positions:
Mg (0.250, 0.250, 0.250)
Cu (0.515, 0.985, 0.515)
Cu (0.515, 0.515, 0.985)
Cu (0.985, 0.515, 0.515)
Cu (0.985, 0.515, 0.985)
Cu (0.985, 0.985, 0.515)
Cu (0.515, 0.985, 0.985)
Pb (0.000, 0.000, 0.000)
O (0.140, 0.140, 0.140)
O (0.857, 0.429, 0.857)
O (0.140, 0.580, 0.140)
O (0.429, 0.857, 0.857)
O (0.140, 0.140, 0.580)
O (0.580, 0.140, 0.140)
O (0.857, 0.857, 0.429)
O (0.857, 0.857, 0.857)

## Properties
Calculated total energy in eV per cell: -80.842
Crystal system: cubic
E above lowest polymorph in eV per atom: 0.000
ΔE_f in eV per atom: -1.05


# 8
Density functional theory data (GGA-PBE) for a geometry-optimized CeYAl2Pd2 structure.

Lattice parameters (Å, degrees): 4.141 7.221 12.370 89.70 90.00 90.00
Fractional positions:
Ce (0.500, 0.920, 0.499)
Ce (0.500, 0.421, 0.001)
Ce (0.500, 0.789, 0.789)
Y (0.500, 0.291, 0.292)
Y (0.500, 0.291, 0.708)
Y (0.500, 0.791, 0.209)
Al (0.000, 0.770, 0.002)
Al (0.000, 0.268, 0.499)
Al (0.000, 0.614, 0.616)
Al (0.000, 0.117, 0.120)
Al (0.000, 0.120, 0.882)
Al (0.000, 0.615, 0.380)
Pd (0.000, 0.994, 0.665)
Pd (0.000, 0.497, 0.165)
Pd (0.000, 0.502, 0.836)
Pd (0.000, 0.997, 0.336)
Pd (0.500, 0.002, 0.999)
Pd (0.500, 0.502, 0.500)

## Properties
Calculated total energy in eV per cell: -105.630
Crystal system: monoclinic
ΔE_f in eV per atom: -0.83


# 9
Density functional theory data (GGA-PBE) for a geometry-optimized InGaCu2Te2Se2 structure.

Lattice parameters (Å, degrees): 6.010 6.004 7.344 66.00 65.99 90.32
Fractional positions:
In (0.509, 0.509, 0.982)
Ga (0.242, 0.742, 0.517)
Cu (0.742, 0.242, 0.516)
Cu (0.009, 0.009, 0.981)
Te (0.095, 0.107, 0.261)
Te (0.643, 0.632, 0.261)
Se (0.365, 0.896, 0.741)
Se (0.894, 0.363, 0.741)

## Properties
Calculated total energy in eV per cell: -30.002
Crystal system: monoclinic
ΔE_f in eV per atom: -0.46


# 10
Density functional theory data (GGA-PBE) for a geometry-optimized EuCuBi structure.

Lattice parameters (Å, degrees): 4.668 4.668 8.587 90.00 90.00 120.00
Fractional positions:
Eu (0.000, 0.000, 0.000)
Eu (0.000, 0.000, 0.500)
Cu (0.667, 0.333, 0.250)
Cu (0.333, 0.667, 0.750)
Bi (0.333, 0.667, 0.250)
Bi (0.667, 0.333, 0.750)

## Properties
Calculated total energy in eV per cell: -39.573
Crystal system: hexagonal
ΔE_f in eV per atom: -0.51


# 11
Density functional theory data (GGA-PBE) for a geometry-optimized LuTlO2 structure.

Lattice parameters (Å, degrees): 6.797 6.797 6.797 29.02 29.02 29.02
Fractional positions:
Lu (0.500, 0.500, 0.500)
Tl (0.000, 0.000, 0.000)
O (0.222, 0.222, 0.222)
O (0.778, 0.778, 0.778)

## Properties
Calculated total energy in eV per cell: -26.534
Crystal system: trigonal
ΔE_f in eV per atom: -2.78


# 12
Density functional theory data (GGA-PBE) for a geometry-optimized HgP14Pb structure.

Lattice parameters (Å, degrees): 9.905 11.082 13.424 90.00 90.00 90.00
Fractional positions:
Hg (0.250, 0.001, 0.186)
Hg (0.250, 0.499, 0.686)
Hg (0.750, 0.501, 0.314)
Hg (0.750, 0.999, 0.814)
P (0.923, 0.670, 0.826)
P (0.548, 0.639, 0.365)
P (0.048, 0.361, 0.635)
P (0.452, 0.139, 0.135)
P (0.750, 0.338, 0.470)
P (0.250, 0.662, 0.530)
P (0.250, 0.838, 0.030)
P (0.750, 0.162, 0.970)
P (0.077, 0.346, 0.473)
P (0.577, 0.654, 0.527)
P (0.923, 0.846, 0.027)
P (0.423, 0.154, 0.973)
P (0.923, 0.654, 0.527)
P (0.423, 0.346, 0.473)
P (0.077, 0.154, 0.973)
P (0.577, 0.846, 0.027)
P (0.250, 0.222, 0.448)
P (0.750, 0.778, 0.552)
P (0.750, 0.722, 0.052)
P (0.250, 0.278, 0.948)
P (0.583, 0.211, 0.438)
P (0.083, 0.789, 0.562)
P (0.417, 0.711, 0.062)
P (0.917, 0.289, 0.938)
P (0.417, 0.789, 0.562)
P (0.917, 0.211, 0.438)
P (0.583, 0.289, 0.938)
P (0.083, 0.711, 0.062)
P (0.250, 0.397, 0.084)
P (0.750, 0.603, 0.916)
P (0.750, 0.897, 0.416)
P (0.250, 0.103, 0.584)
P (0.579, 0.414, 0.075)
P (0.079, 0.586, 0.925)
P (0.421, 0.914, 0.425)
P (0.921, 0.086, 0.575)
P (0.421, 0.586, 0.925)
P (0.921, 0.414, 0.075)
P (0.579, 0.086, 0.575)
P (0.079, 0.914, 0.425)
P (0.750, 0.350, 0.168)
P (0.250, 0.650, 0.832)
P (0.250, 0.850, 0.332)
P (0.750, 0.150, 0.668)
P (0.077, 0.330, 0.174)
P (0.577, 0.670, 0.826)
P (0.923, 0.830, 0.326)
P (0.423, 0.170, 0.674)
P (0.452, 0.361, 0.635)
P (0.423, 0.330, 0.174)
P (0.077, 0.170, 0.674)
P (0.577, 0.830, 0.326)
P (0.048, 0.139, 0.135)
P (0.548, 0.861, 0.865)
P (0.952, 0.639, 0.365)
P (0.952, 0.861, 0.865)
Pb (0.750, 0.095, 0.171)
Pb (0.250, 0.905, 0.829)
Pb (0.250, 0.595, 0.329)
Pb (0.750, 0.405, 0.671)

## Properties
Calculated total energy in eV per cell: -319.993
Crystal system: orthorhombic
ΔE_f in eV per atom: -0.01


# 13
Density functional theory data (GGA-PBE) for a geometry-optimized CeMgZr7O16 structure.

Lattice parameters (Å, degrees): 5.433 7.487 7.487 89.25 86.42 93.58
Fractional positions:
Ce (0.000, 0.969, 0.969)
Mg (0.000, 0.229, 0.229)
Zr (0.500, 0.277, 0.277)
Zr (0.004, 0.964, 0.515)
Zr (0.502, 0.257, 0.783)
Zr (0.996, 0.515, 0.964)
Zr (0.498, 0.783, 0.257)
Zr (0.000, 0.506, 0.506)
Zr (0.500, 0.749, 0.749)
O (0.208, 0.273, 0.006)
O (0.295, 0.012, 0.251)
O (0.792, 0.006, 0.273)
O (0.705, 0.251, 0.012)
O (0.133, 0.245, 0.466)
O (0.288, 0.008, 0.728)
O (0.755, 0.006, 0.733)
O (0.645, 0.282, 0.515)
O (0.245, 0.733, 0.006)
O (0.355, 0.515, 0.282)
O (0.867, 0.466, 0.245)
O (0.712, 0.728, 0.008)
O (0.228, 0.751, 0.494)
O (0.275, 0.490, 0.731)
O (0.772, 0.494, 0.751)
O (0.725, 0.731, 0.490)

## Properties
Calculated total energy in eV per cell: -223.884
Crystal system: monoclinic
E above lowest polymorph in eV per atom: 0.039
ΔE_f in eV per atom: -3.53


# 14
Density functional theory data (GGA-PBE) for a geometry-optimized YMg2 structure.

Lattice parameters (Å, degrees): 6.628 6.628 7.803 77.03 77.03 28.91
Fractional positions:
Y (0.617, 0.617, 0.273)
Y (0.939, 0.939, 0.612)
Mg (0.995, 0.995, 0.002)
Mg (0.336, 0.336, 0.327)
Mg (0.668, 0.668, 0.671)
Mg (0.278, 0.278, 0.948)

## Properties
Calculated total energy in eV per cell: -19.100
Crystal system: monoclinic
ΔE_f in eV per atom: 0.04


# 15
Density functional theory data (GGA-PBE) for a geometry-optimized NaMg6Co structure.

Lattice parameters (Å, degrees): 4.957 6.299 10.797 90.00 90.00 90.00
Fractional positions:
Na (0.500, 0.500, 0.166)
Na (0.500, 0.000, 0.666)
Mg (0.000, 0.241, 0.077)
Mg (0.000, 0.759, 0.077)
Mg (0.000, 0.500, 0.835)
Mg (0.500, 0.230, 0.906)
Mg (0.500, 0.770, 0.906)
Mg (0.500, 0.500, 0.664)
Mg (0.000, 0.741, 0.577)
Mg (0.000, 0.259, 0.577)
Mg (0.000, 0.000, 0.335)
Mg (0.500, 0.730, 0.406)
Mg (0.500, 0.270, 0.406)
Mg (0.500, 0.000, 0.164)
Co (0.000, 0.500, 0.370)
Co (0.000, 0.000, 0.870)

## Properties
Calculated total energy in eV per cell: -32.752
E above lowest polymorph in eV per atom: 0.002
ΔE_f in eV per atom: 0.21


# 16
Density functional theory data (GGA-PBE) for a geometry-optimized Mg7Si4 structure.

Lattice parameters (Å, degrees): 5.343 6.153 13.925 96.56 96.58 97.98
Fractional positions:
Mg (0.278, 0.828, 0.867)
Mg (0.861, 0.264, 0.760)
Mg (0.589, 0.048, 0.558)
Mg (0.367, 0.511, 0.664)
Mg (0.396, 0.344, 0.882)
Mg (0.198, 0.538, 0.259)
Mg (0.402, 0.033, 0.327)
Mg (0.515, 0.540, 0.447)
Mg (0.970, 0.536, 0.004)
Mg (0.827, 0.039, 0.953)
Mg (0.523, 0.748, 0.105)
Mg (0.364, 0.218, 0.084)
Mg (0.065, 0.796, 0.492)
Mg (0.975, 0.252, 0.420)
Si (0.875, 0.222, 0.136)
Si (0.753, 0.665, 0.833)
Si (0.291, 0.052, 0.706)
Si (0.804, 0.800, 0.303)
Si (0.036, 0.878, 0.156)
Si (0.881, 0.825, 0.690)
Si (0.853, 0.469, 0.591)
Si (0.676, 0.401, 0.267)

## Properties
Calculated total energy in eV per cell: -64.419
Crystal system: triclinic
E above lowest polymorph in eV per atom: 0.039
ΔE_f in eV per atom: 0.09